No. 1
# PBE Ba4In2O7, optimized geometry
# **Spin magnetization**: 0.0 μB/f.u.
# **Total DFT energy (no corrections)**: -0.21215 hartree per atom
# **DFT formation energy**: -2465 meV/atom
# **Distance to the lowest polymorph of the same formula**: 0.0 meV per atom
data_Ba4In2O7
_symmetry_space_group_name_H-M 'P 1'
_symmetry_Int_Tables_number 1
_symmetry_space_group_name_Hall 'P 1'
_cell_length_a 14.8576
_cell_length_b 14.8576
_cell_length_c 6.0447
_cell_angle_alpha 90.00
_cell_angle_beta 90.00
_cell_angle_gamma 156.59
loop_
_atom_site_label
_atom_site_fract_x
_atom_site_fract_y
_atom_site_fract_z
Ba1 0.8204 0.1796 0.7500
Ba2 0.9495 0.0505 0.7500
Ba3 0.1796 0.8204 0.2500
Ba4 0.0505 0.9495 0.2500
Ba5 0.6807 0.3193 0.7500
Ba6 0.5476 0.4524 0.7500
Ba7 0.4524 0.5476 0.2500
Ba8 0.3193 0.6807 0.2500
In1 0.1079 0.8921 0.7500
In2 0.3799 0.6201 0.7500
In3 0.8921 0.1079 0.2500
In4 0.6201 0.3799 0.2500
O1 0.8841 0.6326 0.5080
O2 0.0361 0.9639 0.7500
O3 0.8841 0.6326 0.9920
O4 0.9639 0.0361 0.2500
O5 0.3674 0.1159 0.5080
O6 0.4567 0.5433 0.7500
O7 0.1159 0.3674 0.4920
O8 0.3028 0.6972 0.7500
O9 0.3674 0.1159 0.9920
O10 0.1159 0.3674 0.0080
O11 0.6326 0.8841 0.4920
O12 0.5433 0.4567 0.2500
O13 0.6972 0.3028 0.2500
O14 0.6326 0.8841 0.0080

No. 2
# PBE ZrP2H4O9, optimized geometry
# **Spin magnetization**: 0.1 μB/f.u.
# **Total DFT energy (no corrections)**: -0.25269 hartree per atom
# **DFT formation energy**: -2420 meV/atom
# **Distance to the lowest polymorph of the same formula**: 0.0 meV per atom
data_ZrP2H4O9
_symmetry_space_group_name_H-M 'P 1'
_symmetry_Int_Tables_number 1
_symmetry_space_group_name_Hall 'P 1'
_cell_length_a 9.2977
_cell_length_b 5.3977
_cell_length_c 17.1235
_cell_angle_alpha 90.00
_cell_angle_beta 110.69
_cell_angle_gamma 90.00
loop_
_atom_site_label
_atom_site_fract_x
_atom_site_fract_y
_atom_site_fract_z
Zr1 0.7608 0.2470 0.0138
Zr2 0.7608 0.2530 0.5138
Zr3 0.2392 0.7530 0.9862
Zr4 0.2392 0.7470 0.4862
P1 0.9983 0.7482 0.1095
P2 0.9983 0.7518 0.6095
P3 0.0017 0.2518 0.8905
P4 0.0017 0.2482 0.3905
P5 0.4677 0.2567 0.0992
P6 0.4677 0.2433 0.5992
P7 0.5323 0.7433 0.9008
P8 0.5323 0.7567 0.4008
H1 0.1566 0.5904 0.2264
H2 0.1566 0.9096 0.7264
H3 0.8434 0.4096 0.7736
H4 0.8434 0.0904 0.2736
H5 0.4245 0.2708 0.2179
H6 0.4245 0.2292 0.7179
H7 0.5755 0.7292 0.7821
H8 0.5755 0.7708 0.2821
H9 0.8046 0.6508 0.2552
H10 0.8046 0.8492 0.7552
H11 0.1954 0.3492 0.7448
H12 0.1954 0.1509 0.2448
H13 0.7002 0.8090 0.1810
H14 0.7002 0.6910 0.6810
H15 0.2998 0.1910 0.8190
H16 0.2998 0.3090 0.3190
O1 0.1057 0.7096 0.0601
O2 0.1057 0.7904 0.5601
O3 0.8943 0.2904 0.9399
O4 0.8943 0.2096 0.4399
O5 0.9233 0.0049 0.0944
O6 0.9233 0.4951 0.5944
O7 0.0767 0.9951 0.9056
O8 0.0767 0.5049 0.4056
O9 0.8766 0.5423 0.0899
O10 0.8766 0.9577 0.5899
O11 0.1234 0.4577 0.9101
O12 0.1234 0.0423 0.4101
O13 0.0971 0.7464 0.2064
O14 0.0971 0.7536 0.7064
O15 0.9029 0.2536 0.7936
O16 0.9029 0.2464 0.2936
O17 0.3488 0.0536 0.0598
O18 0.3488 0.4464 0.5598
O19 0.6512 0.9464 0.9402
O20 0.6512 0.5536 0.4402
O21 0.4038 0.5120 0.0648
O22 0.4038 0.9880 0.5648
O23 0.5962 0.4880 0.9352
O24 0.5962 0.0120 0.4352
O25 0.5115 0.2531 0.1972
O26 0.5115 0.2469 0.6972
O27 0.4885 0.7469 0.8028
O28 0.4885 0.7531 0.3028
O29 0.6209 0.2032 0.0869
O30 0.6209 0.2968 0.5869
O31 0.3791 0.7968 0.9131
O32 0.3791 0.7032 0.4131
O33 0.7404 0.8005 0.2420
O34 0.7404 0.6995 0.7420
O35 0.2596 0.1995 0.7580
O36 0.2596 0.3005 0.2580

No. 3
# PBE Si6Bi9O26, optimized geometry
# **Spin magnetization**: 0.0 μB/f.u.
# **Total DFT energy (no corrections)**: -0.24577 hartree per atom
# **DFT formation energy**: -2338 meV/atom
# **Distance to the lowest polymorph of the same formula**: 0.8 meV per atom
data_Si6Bi9O26
_symmetry_space_group_name_H-M 'P 1'
_symmetry_Int_Tables_number 1
_symmetry_space_group_name_Hall 'P 1'
_cell_length_a 9.7672
_cell_length_b 9.7672
_cell_length_c 14.0980
_cell_angle_alpha 90.00
_cell_angle_beta 90.00
_cell_angle_gamma 120.00
loop_
_atom_site_label
_atom_site_fract_x
_atom_site_fract_y
_atom_site_fract_z
Si1 0.3989 0.3744 0.6250
Si2 0.4007 0.3745 0.1277
Si3 0.0246 0.3989 0.3750
Si4 0.0262 0.4007 0.8723
Si5 0.3745 0.9738 0.8723
Si6 0.3744 0.9754 0.3750
Si7 0.6256 0.0246 0.6250
Si8 0.6255 0.0262 0.1277
Si9 0.9738 0.5993 0.1277
Si10 0.9754 0.6011 0.6250
Si11 0.5993 0.6255 0.8723
Si12 0.6011 0.6256 0.3750
Bi1 0.0122 0.7668 0.3740
Bi2 0.0153 0.7732 0.8733
Bi3 0.2421 0.0153 0.1267
Bi4 0.2454 0.0122 0.6260
Bi5 0.7668 0.7546 0.6260
Bi6 0.7732 0.7579 0.1267
Bi7 0.3333 0.6667 0.2405
Bi8 0.6667 0.3333 0.0210
Bi9 0.6667 0.3333 0.4708
Bi10 0.3333 0.6667 0.9790
Bi11 0.3333 0.6667 0.5292
Bi12 0.6667 0.3333 0.7595
Bi13 0.2268 0.2421 0.8733
Bi14 0.2332 0.2454 0.3740
Bi15 0.7546 0.9878 0.3740
Bi16 0.7579 0.9847 0.8733
Bi17 0.9847 0.2268 0.1267
Bi18 0.9878 0.2332 0.6260
O1 0.3164 0.2423 0.2139
O2 0.3377 0.2484 0.7156
O3 0.3415 0.2482 0.5345
O4 0.3434 0.2498 0.0358
O5 0.2423 0.9259 0.7861
O6 0.2484 0.9107 0.2844
O7 0.2482 0.9067 0.4655
O8 0.2498 0.9064 0.9642
O9 0.1143 0.5930 0.3698
O10 0.1640 0.6649 0.1274
O11 0.1668 0.6856 0.6233
O12 0.1226 0.5948 0.8781
O13 0.5930 0.4787 0.6302
O14 0.5948 0.4722 0.1219
O15 0.4811 0.1668 0.3767
O16 0.6649 0.5009 0.8726
O17 0.4991 0.1640 0.8726
O18 0.0933 0.3415 0.4655
O19 0.0741 0.3164 0.7861
O20 0.0893 0.3377 0.2844
O21 0.6856 0.5189 0.3767
O22 0.0936 0.3434 0.9642
O23 0.5213 0.1143 0.6302
O24 0.5278 0.1226 0.1219
O25 0.0000 0.0000 0.1211
O26 0.0000 0.0000 0.3731
O27 0.0000 0.0000 0.6269
O28 0.0000 0.0000 0.8789
O29 0.4722 0.8774 0.8781
O30 0.4787 0.8857 0.3698
O31 0.9064 0.6566 0.0358
O32 0.3144 0.4811 0.6233
O33 0.9107 0.6623 0.7156
O34 0.9259 0.6836 0.2139
O35 0.9067 0.6585 0.5345
O36 0.5009 0.8360 0.1274
O37 0.3351 0.4991 0.1274
O38 0.5189 0.8332 0.6233
O39 0.4052 0.5278 0.8781
O40 0.4070 0.5213 0.3698
O41 0.8774 0.4052 0.1219
O42 0.8332 0.3144 0.3767
O43 0.8360 0.3351 0.8726
O44 0.8857 0.4070 0.6302
O45 0.7502 0.0936 0.0358
O46 0.7518 0.0933 0.5345
O47 0.7516 0.0893 0.7156
O48 0.7577 0.0741 0.2139
O49 0.6566 0.7502 0.9642
O50 0.6585 0.7518 0.4655
O51 0.6623 0.7516 0.2844
O52 0.6836 0.7577 0.7861

No. 4
# PBE BaAgBi, optimized geometry
# **Total DFT energy (no corrections)**: -0.13005 hartree per atom
# **DFT formation energy**: -658 meV/atom
data_BaAgBi
_symmetry_space_group_name_H-M 'P 1'
_symmetry_Int_Tables_number 1
_symmetry_space_group_name_Hall 'P 1'
_cell_length_a 5.0380
_cell_length_b 5.0380
_cell_length_c 9.4751
_cell_angle_alpha 90.00
_cell_angle_beta 90.00
_cell_angle_gamma 120.00
loop_
_atom_site_label
_atom_site_fract_x
_atom_site_fract_y
_atom_site_fract_z
Ba1 0.0000 0.0000 0.5000
Ba2 0.0000 0.0000 0.0000
Ag1 0.3333 0.6667 0.7500
Ag2 0.6667 0.3333 0.2500
Bi1 0.3333 0.6667 0.2500
Bi2 0.6667 0.3333 0.7500

No. 5
# PBE BaSiB, optimized geometry
# **Spin magnetization**: 0.0 μB/f.u.
# **Total DFT energy (no corrections)**: -0.12905 hartree per atom
# **DFT formation energy**: 1163 meV/atom
data_BaSiB
_symmetry_space_group_name_H-M 'P 1'
_symmetry_Int_Tables_number 1
_symmetry_space_group_name_Hall 'P 1'
_cell_length_a 4.8129
_cell_length_b 4.8129
_cell_length_c 4.8129
_cell_angle_alpha 60.00
_cell_angle_beta 60.00
_cell_angle_gamma 60.00
loop_
_atom_site_label
_atom_site_fract_x
_atom_site_fract_y
_atom_site_fract_z
Ba1 0.5000 0.5000 0.5000
Si1 0.7500 0.7500 0.7500
B1 0.0000 0.0000 0.0000

No. 6
# PBE Na4AlP2HO9, optimized geometry
# **Spin magnetization**: 0.0 μB/f.u.
# **Total DFT energy (no corrections)**: -0.22983 hartree per atom
# **DFT formation energy**: -2630 meV/atom
data_Na4AlP2HO9
_symmetry_space_group_name_H-M 'P 1'
_symmetry_Int_Tables_number 1
_symmetry_space_group_name_Hall 'P 1'
_cell_length_a 7.0074
_cell_length_b 14.8686
_cell_length_c 15.4679
_cell_angle_alpha 90.00
_cell_angle_beta 90.00
_cell_angle_gamma 90.00
loop_
_atom_site_label
_atom_site_fract_x
_atom_site_fract_y
_atom_site_fract_z
Na1 0.7500 0.1104 0.1311
Na2 0.2500 0.8896 0.8689
Na3 0.2500 0.3896 0.1311
Na4 0.7500 0.6104 0.8689
Na5 0.5201 0.5170 0.2548
Na6 0.0201 0.4830 0.7452
Na7 0.4799 0.9830 0.2548
Na8 0.9799 0.0170 0.7452
Na9 0.4799 0.4830 0.7452
Na10 0.9799 0.5170 0.2548
Na11 0.5201 0.0170 0.7452
Na12 0.0201 0.9830 0.2548
Na13 0.5000 0.7500 0.5280
Na14 0.0000 0.2500 0.4720
Na15 0.5000 0.2500 0.4720
Na16 0.0000 0.7500 0.5280
Na17 0.5000 0.7500 0.2220
Na18 0.0000 0.2500 0.7780
Na19 0.5000 0.2500 0.7780
Na20 0.0000 0.7500 0.2220
Na21 0.5000 0.7500 0.9916
Na22 0.0000 0.2500 0.0084
Na23 0.5000 0.2500 0.0084
Na24 0.0000 0.7500 0.9916
Na25 0.5000 0.2500 0.2558
Na26 0.0000 0.7500 0.7442
Na27 0.5000 0.7500 0.7442
Na28 0.0000 0.2500 0.2558
Na29 0.7500 0.3671 0.6253
Na30 0.2500 0.6329 0.3747
Na31 0.2500 0.1329 0.6253
Na32 0.7500 0.8671 0.3747
Al1 0.5000 0.5000 0.5000
Al2 0.0000 0.5000 0.5000
Al3 0.5000 0.0000 0.5000
Al4 0.0000 0.0000 0.5000
Al5 0.5000 0.0000 0.0000
Al6 0.0000 0.0000 0.0000
Al7 0.5000 0.5000 0.0000
Al8 0.0000 0.5000 0.0000
P1 0.7500 0.6357 0.3796
P2 0.2500 0.3643 0.6204
P3 0.2500 0.8643 0.3796
P4 0.7500 0.1357 0.6204
P5 0.7500 0.8795 0.1287
P6 0.2500 0.1205 0.8713
P7 0.2500 0.6205 0.1287
P8 0.7500 0.3795 0.8713
P9 0.2500 0.8798 0.6331
P10 0.7500 0.1202 0.3669
P11 0.7500 0.6202 0.6331
P12 0.2500 0.3798 0.3669
P13 0.2500 0.6299 0.8751
P14 0.7500 0.3701 0.1249
P15 0.7500 0.8701 0.8751
P16 0.2500 0.1299 0.1249
H1 0.7500 0.0800 0.9338
H2 0.2500 0.9200 0.0662
H3 0.2500 0.4200 0.9338
H4 0.7500 0.5800 0.0662
H5 0.7500 0.4125 0.4460
H6 0.2500 0.5875 0.5540
H7 0.2500 0.0875 0.4460
H8 0.7500 0.9125 0.5540
O1 0.7500 0.7267 0.4268
O2 0.2500 0.2733 0.5732
O3 0.2500 0.7733 0.4268
O4 0.7500 0.2267 0.5732
O5 0.7500 0.6470 0.2798
O6 0.2500 0.3530 0.7202
O7 0.2500 0.8530 0.2798
O8 0.7500 0.1470 0.7202
O9 0.5664 0.5801 0.4039
O10 0.0664 0.4199 0.5961
O11 0.4336 0.9199 0.4039
O12 0.9336 0.0801 0.5961
O13 0.4336 0.4199 0.5961
O14 0.9336 0.5801 0.4039
O15 0.5664 0.0801 0.5961
O16 0.0664 0.9199 0.4039
O17 0.7500 0.7844 0.0893
O18 0.2500 0.2156 0.9107
O19 0.2500 0.7156 0.0893
O20 0.7500 0.2844 0.9107
O21 0.5689 0.9353 0.1028
O22 0.0689 0.0647 0.8972
O23 0.4311 0.5647 0.1028
O24 0.9311 0.4353 0.8972
O25 0.4311 0.0647 0.8972
O26 0.9311 0.9353 0.1028
O27 0.5689 0.4353 0.8972
O28 0.0689 0.5647 0.1028
O29 0.7500 0.8705 0.2286
O30 0.2500 0.1295 0.7714
O31 0.2500 0.6295 0.2286
O32 0.7500 0.3705 0.7714
O33 0.2500 0.7759 0.6392
O34 0.7500 0.2241 0.3608
O35 0.7500 0.7241 0.6392
O36 0.2500 0.2759 0.3608
O37 0.2500 0.9209 0.7250
O38 0.7500 0.0791 0.2750
O39 0.7500 0.5791 0.7250
O40 0.2500 0.4209 0.2750
O41 0.4321 0.9106 0.5828
O42 0.9321 0.0894 0.4172
O43 0.5679 0.5894 0.5828
O44 0.0679 0.4106 0.4172
O45 0.5679 0.0894 0.4172
O46 0.0679 0.9106 0.5828
O47 0.4321 0.4106 0.4172
O48 0.9321 0.5894 0.5828
O49 0.2500 0.7341 0.8673
O50 0.7500 0.2659 0.1327
O51 0.7500 0.7659 0.8673
O52 0.2500 0.2341 0.1327
O53 0.4333 0.6022 0.9276
O54 0.9333 0.3978 0.0724
O55 0.5667 0.8978 0.9276
O56 0.0667 0.1022 0.0724
O57 0.5667 0.3978 0.0724
O58 0.0667 0.6022 0.9276
O59 0.4333 0.1022 0.0724
O60 0.9333 0.8978 0.9276
O61 0.2500 0.5863 0.7853
O62 0.7500 0.4137 0.2147
O63 0.7500 0.9137 0.7853
O64 0.2500 0.0863 0.2147
O65 0.7500 0.0494 0.9895
O66 0.2500 0.9506 0.0105
O67 0.2500 0.4506 0.9895
O68 0.7500 0.5494 0.0105
O69 0.7500 0.4491 0.4981
O70 0.2500 0.5509 0.5019
O71 0.2500 0.0509 0.4981
O72 0.7500 0.9491 0.5019